Compound: MoS2
Source: the Materials Project database
Functional: meta-GGA r2SCAN
Structure: optimized geometry

Values from the calculation:
**Formation energy from the elements**: -669.8 meV/atom

Cell lengths 3.2275, 3.2275, 6.3125 Å; angles 90.00, 90.00, 120.00 degrees
Fractional coordinates of all 3 atoms:
S 0.6667 0.3333 0.7447
S 0.3333 0.6667 0.2553
Mo 0.0000 0.0000 0.5000